A relaxed structure of NaNb13O33. Source: the Materials Project database, functional GGA-PBE.

## Properties
Formation enthalpy at 0 K = -3016 meV/atom
Energy relative to the lowest polymorph listed for this composition = 1.151 eV/f.u.
Mass density = 4.2 g/cm³
DFT total energy = -8.830 eV/atom

Unit cell a=3.878 b=11.609 c=15.664 alpha=88.50 beta=89.97 gamma=80.40
Positions (direct):
Na  0.000  0.000  0.000
Nb  0.214  0.585  0.123
Nb  0.281  0.448  0.360
Nb  0.356  0.310  0.594
Nb  0.364  0.274  0.030
Nb  0.417  0.173  0.823
Nb  0.452  0.140  0.269
Nb  0.496  0.001  0.498
Nb  0.589  0.826  0.173
Nb  0.591  0.859  0.726
Nb  0.643  0.726  0.965
Nb  0.660  0.690  0.402
Nb  0.735  0.551  0.635
Nb  0.797  0.415  0.872
O  0.008  0.001  0.497
O  0.074  0.859  0.742
O  0.113  0.781  0.159
O  0.157  0.696  0.992
O  0.187  0.640  0.399
O  0.243  0.537  0.234
O  0.259  0.501  0.635
O  0.283  0.445  0.067
O  0.311  0.387  0.470
O  0.323  0.363  0.886
O  0.349  0.306  0.302
O  0.382  0.255  0.710
O  0.399  0.200  0.132
O  0.433  0.164  0.546
O  0.435  0.138  0.953
O  0.473  0.069  0.377
O  0.489  0.023  0.789
O  0.512  0.976  0.206
O  0.540  0.929  0.616
O  0.576  0.862  0.041
O  0.588  0.837  0.448
O  0.604  0.799  0.862
O  0.634  0.742  0.284
O  0.660  0.694  0.692
O  0.687  0.637  0.108
O  0.706  0.612  0.525
O  0.728  0.553  0.930
O  0.758  0.498  0.360
O  0.774  0.467  0.763
O  0.829  0.360  0.597
O  0.851  0.304  0.002
O  0.896  0.219  0.834
O  0.932  0.140  0.251

***

A relaxed structure of NaNb2PO8. Source: the Materials Project database, functional GGA-PBE.

## Properties
Formation enthalpy at 0 K = -2905 meV/atom
Mass density = 3.5 g/cm³
DFT total energy = -7.991 eV/atom

Unit cell a=6.852 b=5.511 c=18.247 alpha=90.00 beta=90.23 gamma=90.00
Positions (direct):
Na  0.211  0.000  0.283
Na  0.288  0.964  0.784
Na  0.712  0.464  0.216
Na  0.789  0.500  0.717
Nb  0.009  0.491  0.374
Nb  0.164  0.994  0.961
Nb  0.339  0.998  0.461
Nb  0.490  0.484  0.873
Nb  0.510  0.984  0.127
Nb  0.661  0.498  0.539
Nb  0.836  0.494  0.039
Nb  0.991  0.991  0.626
P  0.190  0.484  0.187
P  0.308  0.471  0.686
P  0.692  0.971  0.314
P  0.810  0.984  0.813
O  0.008  0.497  0.138
O  0.017  0.253  0.002
O  0.116  0.465  0.268
O  0.153  0.763  0.396
O  0.158  0.986  0.540
O  0.163  0.677  0.670
O  0.192  0.258  0.408
O  0.213  0.216  0.681
O  0.309  0.250  0.174
O  0.315  0.716  0.182
O  0.325  0.729  0.904
O  0.332  0.220  0.898
O  0.342  0.972  0.041
O  0.377  0.507  0.767
O  0.477  0.697  0.492
O  0.492  0.485  0.638
O  0.508  0.985  0.362
O  0.523  0.197  0.508
O  0.623  0.007  0.233
O  0.658  0.472  0.959
O  0.668  0.720  0.102
O  0.675  0.229  0.096
O  0.685  0.216  0.818
O  0.691  0.750  0.826
O  0.787  0.716  0.319
O  0.808  0.758  0.592
O  0.837  0.177  0.330
O  0.842  0.486  0.460
O  0.847  0.263  0.604
O  0.884  0.965  0.732
O  0.983  0.753  0.998
O  0.992  0.997  0.862

***

A relaxed structure of Na6Nb8P5O35. Source: the Materials Project database, functional GGA-PBE.

## Properties
Formation enthalpy at 0 K = -2873 meV/atom
Mass density = 3.7 g/cm³
DFT total energy = -7.779 eV/atom

Unit cell a=11.439 b=11.439 c=11.439 alpha=46.70 beta=46.70 gamma=46.70
Positions (direct):
Na  0.000  0.214  0.786
Na  0.081  0.500  0.919
Na  0.214  0.786  0.000
Na  0.500  0.919  0.081
Na  0.786  0.000  0.214
Na  0.919  0.081  0.500
Nb  0.203  0.680  0.427
Nb  0.264  0.264  0.264
Nb  0.320  0.797  0.573
Nb  0.427  0.203  0.680
Nb  0.573  0.320  0.797
Nb  0.680  0.427  0.203
Nb  0.736  0.736  0.736
Nb  0.797  0.573  0.320
P  0.000  0.560  0.440
P  0.095  0.095  0.095
P  0.440  0.000  0.560
P  0.560  0.440  0.000
P  0.905  0.905  0.905
O  0.046  0.046  0.046
O  0.060  0.425  0.212
O  0.066  0.812  0.776
O  0.110  0.370  0.452
O  0.116  0.658  0.331
O  0.188  0.934  0.224
O  0.212  0.060  0.425
O  0.224  0.188  0.934
O  0.247  0.445  0.600
O  0.268  0.732  0.500
O  0.331  0.116  0.658
O  0.342  0.884  0.669
O  0.370  0.452  0.110
O  0.400  0.555  0.753
O  0.425  0.212  0.060
O  0.445  0.600  0.247
O  0.452  0.110  0.370
O  0.500  0.268  0.732
O  0.548  0.630  0.890
O  0.555  0.753  0.400
O  0.575  0.940  0.788
O  0.600  0.247  0.445
O  0.630  0.890  0.548
O  0.658  0.331  0.116
O  0.669  0.342  0.884
O  0.732  0.500  0.268
O  0.753  0.400  0.555
O  0.776  0.066  0.812
O  0.788  0.575  0.940
O  0.812  0.776  0.066
O  0.884  0.669  0.342
O  0.890  0.548  0.630
O  0.934  0.224  0.188
O  0.940  0.788  0.575
O  0.954  0.954  0.954

***

A relaxed structure of Na4Nb9P6O39. Source: the Materials Project database, functional GGA-PBE.

## Properties
Formation enthalpy at 0 K = -2894 meV/atom
Mass density = 3.5 g/cm³
DFT total energy = -7.978 eV/atom

Unit cell a=14.696 b=20.205 c=5.506 alpha=90.00 beta=90.00 gamma=90.00
Positions (direct):
Na  0.203  0.123  0.252
Na  0.213  0.441  0.246
Na  0.287  0.941  0.754
Na  0.297  0.623  0.748
Na  0.703  0.377  0.748
Na  0.713  0.059  0.754
Na  0.787  0.559  0.246
Na  0.797  0.877  0.252
Nb  0.000  0.500  0.264
Nb  0.021  0.831  0.245
Nb  0.096  0.064  0.749
Nb  0.099  0.384  0.764
Nb  0.112  0.723  0.744
Nb  0.388  0.223  0.256
Nb  0.401  0.884  0.236
Nb  0.404  0.564  0.251
Nb  0.479  0.331  0.755
Nb  0.500  0.000  0.736
Nb  0.521  0.669  0.755
Nb  0.596  0.436  0.251
Nb  0.599  0.116  0.236
Nb  0.612  0.777  0.256
Nb  0.888  0.277  0.744
Nb  0.901  0.616  0.764
Nb  0.904  0.936  0.749
Nb  0.979  0.169  0.245
P  0.165  0.284  0.267
P  0.171  0.616  0.240
P  0.178  0.962  0.256
P  0.322  0.462  0.744
P  0.329  0.116  0.760
P  0.335  0.784  0.733
P  0.665  0.216  0.733
P  0.671  0.884  0.760
P  0.678  0.538  0.744
P  0.822  0.038  0.256
P  0.829  0.384  0.240
P  0.835  0.716  0.267
O  0.000  0.000  0.779
O  0.007  0.318  0.760
O  0.050  0.438  0.017
O  0.051  0.439  0.513
O  0.055  0.127  0.976
O  0.056  0.109  0.472
O  0.078  0.239  0.271
O  0.083  0.793  0.527
O  0.091  0.777  0.021
O  0.111  0.905  0.213
O  0.126  0.546  0.259
O  0.134  0.660  0.442
O  0.157  0.643  0.981
O  0.166  0.016  0.059
O  0.167  0.990  0.515
O  0.168  0.328  0.039
O  0.170  0.329  0.492
O  0.223  0.436  0.772
O  0.225  0.107  0.714
O  0.248  0.236  0.267
O  0.252  0.736  0.733
O  0.275  0.607  0.286
O  0.277  0.936  0.228
O  0.330  0.829  0.508
O  0.332  0.828  0.961
O  0.333  0.490  0.485
O  0.334  0.516  0.941
O  0.343  0.143  0.019
O  0.366  0.160  0.558
O  0.374  0.046  0.741
O  0.389  0.405  0.787
O  0.409  0.277  0.979
O  0.417  0.293  0.473
O  0.422  0.739  0.729
O  0.444  0.609  0.528
O  0.445  0.627  0.024
O  0.449  0.939  0.487
O  0.450  0.938  0.983
O  0.493  0.818  0.240
O  0.500  0.500  0.221
O  0.507  0.182  0.240
O  0.550  0.062  0.983
O  0.551  0.061  0.487
O  0.555  0.373  0.024
O  0.556  0.391  0.528
O  0.578  0.261  0.729
O  0.583  0.707  0.473
O  0.591  0.723  0.979
O  0.611  0.595  0.787
O  0.626  0.954  0.741
O  0.634  0.840  0.558
O  0.657  0.857  0.019
O  0.666  0.484  0.941
O  0.667  0.510  0.485
O  0.668  0.172  0.961
O  0.670  0.171  0.508
O  0.723  0.064  0.228
O  0.725  0.393  0.286
O  0.748  0.264  0.733
O  0.752  0.764  0.267
O  0.775  0.893  0.714
O  0.777  0.564  0.772
O  0.830  0.671  0.492
O  0.832  0.672  0.039
O  0.833  0.010  0.515
O  0.834  0.984  0.059
O  0.843  0.357  0.981
O  0.866  0.340  0.442
O  0.874  0.454  0.259
O  0.889  0.095  0.213
O  0.909  0.223  0.021
O  0.917  0.207  0.527
O  0.922  0.761  0.271
O  0.944  0.891  0.472
O  0.945  0.873  0.976
O  0.949  0.561  0.513
O  0.950  0.562  0.017
O  0.993  0.682  0.760

***

A relaxed structure of Na2Sc3NbP4S2O24. Source: the Materials Project database, functional GGA-PBE.

## Properties
Formation enthalpy at 0 K = -2885 meV/atom
Mass density = 2.7 g/cm³
DFT total energy = -7.439 eV/atom

Unit cell a=8.817 b=8.823 c=23.060 alpha=90.15 beta=90.04 gamma=119.95
Positions (direct):
Na  0.000  0.000  0.000
Na  0.004  0.997  0.501
Na  0.328  0.664  0.332
Na  0.334  0.667  0.837
Na  0.664  0.333  0.668
Na  0.667  0.332  0.168
Sc  0.001  0.001  0.859
Sc  0.001  0.994  0.648
Sc  0.014  0.006  0.354
Sc  0.329  0.668  0.188
Sc  0.342  0.674  0.687
Sc  0.660  0.341  0.521
Sc  0.667  0.334  0.822
Sc  0.668  0.334  0.021
Sc  0.669  0.338  0.314
Nb  0.009  0.012  0.147
Nb  0.335  0.669  0.982
Nb  0.335  0.671  0.481
P  0.001  0.293  0.253
P  0.043  0.665  0.086
P  0.293  0.000  0.253
P  0.336  0.960  0.586
P  0.340  0.384  0.086
P  0.377  0.332  0.419
P  0.378  0.046  0.920
P  0.622  0.958  0.087
P  0.624  0.668  0.586
P  0.669  0.624  0.920
P  0.953  0.624  0.419
P  0.956  0.333  0.920
S  0.000  0.708  0.752
S  0.044  0.378  0.586
S  0.292  0.292  0.752
S  0.670  0.046  0.419
S  0.711  0.003  0.752
S  0.712  0.713  0.252
O  0.026  0.204  0.306
O  0.027  0.835  0.094
O  0.029  0.204  0.591
O  0.029  0.818  0.804
O  0.124  0.486  0.638
O  0.127  0.640  0.140
O  0.144  0.644  0.430
O  0.145  0.501  0.928
O  0.156  0.462  0.533
O  0.158  0.690  0.745
O  0.163  0.699  0.031
O  0.165  0.471  0.245
O  0.168  0.196  0.093
O  0.170  0.975  0.591
O  0.178  0.970  0.306
O  0.184  0.212  0.804
O  0.191  0.176  0.414
O  0.192  0.018  0.911
O  0.195  0.025  0.198
O  0.209  0.184  0.699
O  0.303  0.465  0.031
O  0.308  0.838  0.531
O  0.309  0.468  0.745
O  0.311  0.838  0.245
O  0.357  0.501  0.430
O  0.357  0.857  0.928
O  0.361  0.489  0.141
O  0.361  0.871  0.640
O  0.458  0.154  0.974
O  0.458  0.305  0.474
O  0.468  0.310  0.757
O  0.472  0.168  0.257
O  0.488  0.119  0.864
O  0.490  0.370  0.365
O  0.493  0.353  0.079
O  0.500  0.138  0.578
O  0.501  0.644  0.928
O  0.506  0.864  0.427
O  0.510  0.638  0.640
O  0.513  0.872  0.140
O  0.529  0.692  0.531
O  0.534  0.844  0.746
O  0.536  0.839  0.031
O  0.537  0.693  0.246
O  0.631  0.513  0.864
O  0.633  0.116  0.367
O  0.644  0.506  0.579
O  0.648  0.139  0.079
O  0.691  0.159  0.757
O  0.694  0.148  0.472
O  0.696  0.538  0.257
O  0.697  0.544  0.974
O  0.790  0.819  0.305
O  0.790  0.973  0.804
O  0.804  0.835  0.591
O  0.807  0.972  0.094
O  0.818  0.027  0.699
O  0.820  0.018  0.413
O  0.823  0.796  0.199
O  0.826  0.809  0.911
O  0.834  0.306  0.257
O  0.842  0.533  0.757
O  0.848  0.305  0.974
O  0.849  0.539  0.474
O  0.861  0.508  0.078
O  0.870  0.359  0.578
O  0.881  0.511  0.365
O  0.883  0.370  0.864
O  0.974  0.790  0.700
O  0.975  0.171  0.198
O  0.981  0.809  0.413
O  0.983  0.175  0.911

***

What is the formula in the third record? Na6Nb8P5O35